[1]
Mn2Be3N2F12: relaxed, GGA+U.

extended XYZ file:
```
76
Lattice="-2.063 1.450 -9.749 6.999 -6.798 -2.492 -6.940 -7.286 0.385" Properties=species:S:1:pos:R:3 pbc="T T T"
F -2.421 -4.797 -4.761
F -0.157 -6.147 -3.705
F -0.923 -8.612 -3.639
F 2.437 -7.434 -9.375
F -1.692 -11.122 -4.748
F 3.934 -7.308 -7.200
F 0.285 -3.470 -8.214
F 4.039 -8.297 -4.852
F -1.320 -4.379 -2.121
F -3.431 -9.957 -3.132
F 3.887 -7.088 -2.353
F 0.168 -4.244 -5.788
F 4.187 -4.486 -7.395
F -3.860 -3.891 -9.523
F -4.643 -6.042 -4.641
F 0.372 -11.003 -2.787
F 5.015 -6.138 -9.552
F -4.853 -8.916 -8.988
F -6.672 -4.287 -9.547
F -3.846 -5.093 -6.894
F -6.833 -7.472 -5.504
F 0.129 -8.168 -8.510
F -0.802 -5.742 -7.597
F -1.704 -2.600 -9.952
F -1.932 -2.837 -0.183
F -6.608 -5.667 -7.293
F 0.553 -7.842 -11.047
F 1.086 -3.555 -3.406
F 2.649 -10.538 -3.841
F -1.440 -9.427 -1.178
F -1.550 -9.537 -6.767
F -5.724 -5.810 -2.090
F -4.702 -6.386 -9.285
F 1.577 -8.013 -3.592
F -1.003 -0.071 -3.287
F 2.107 -2.310 -1.427
F 0.757 -3.589 -10.926
F 1.729 -5.456 -7.450
F 0.163 -7.644 -5.734
F -1.408 -2.422 -4.191
F -0.226 -11.766 -6.734
F -5.435 -3.025 -7.324
F -1.915 -12.093 -2.034
F -2.609 -7.690 -8.556
F -5.385 -8.322 -3.233
F -0.331 -0.764 -8.378
F 2.850 -4.674 -9.950
F -2.608 -7.076 -5.871
Mn 3.352 -5.915 -8.490
Mn 3.308 -8.826 -3.094
Mn -6.309 -6.661 -3.776
Mn -1.500 -10.368 -2.925
Mn -5.186 -4.732 -8.308
Mn -1.211 -7.630 -7.161
Mn 0.202 -2.150 -9.683
Mn -0.675 -4.252 -3.990
Be 2.057 -2.384 -3.010
Be 0.175 -7.610 -4.150
Be 2.107 -4.332 -11.293
Be 1.657 -11.686 -3.381
Be -1.565 -11.030 -6.312
Be -7.410 -6.957 -6.887
Be 0.356 -4.711 -7.269
Be -1.154 -4.161 -0.574
Be -3.398 -5.744 -5.535
Be -2.123 -1.140 -3.629
Be 1.169 -8.316 -9.666
Be -3.900 -7.730 -9.434
N -2.897 -6.866 -2.310
N -2.330 -2.563 -6.991
N -0.093 -0.589 -0.552
N -1.638 -10.323 -9.688
N 1.944 -9.806 -6.586
N 2.856 -5.514 -4.723
N -4.571 -9.236 -6.092
N -1.288 -5.636 -10.483
```

- VASP energy (eV for the cell shown) = -406.68
- SG = P2_13

[2]
Rb2Mn2Be3F12: relaxed, GGA+U.

extended XYZ file:
```
76
Lattice="-2.787 9.475 3.335 -6.367 -4.343 7.019 7.769 -0.160 6.948" Properties=species:S:1:pos:R:3 pbc="T T T"
Mn -0.827 2.972 10.342
Mn -0.463 1.663 5.787
Mn -4.316 6.787 6.511
Mn -2.892 -3.057 9.454
Mn -5.881 2.656 9.227
Mn 5.267 3.243 8.297
Mn 1.784 -1.456 11.022
Mn 1.791 7.081 8.569
F 4.840 1.552 9.567
F 1.068 2.882 9.363
F -2.320 -2.768 11.491
F -3.412 4.885 6.980
F 1.106 6.956 10.572
F 1.780 5.586 12.637
F -1.489 1.052 9.685
F 2.062 -0.263 2.837
F 0.057 2.016 12.061
F -3.479 -3.110 7.379
F -0.218 4.842 11.227
F -6.423 1.987 7.257
F -5.180 3.082 11.182
F -2.121 2.770 6.591
F -2.625 3.146 11.522
F 2.910 -2.774 12.292
F -0.499 0.283 7.435
F 3.802 6.599 9.039
F -0.211 7.802 8.264
F -5.076 6.853 8.505
F 1.244 5.094 8.069
F -0.422 3.059 1.683
F 1.057 0.342 5.123
F -6.393 4.664 8.779
F 0.955 2.929 6.791
F 4.998 4.528 9.980
F 2.374 -2.541 9.262
F -0.823 0.472 13.899
F 3.449 -0.110 10.830
F -2.488 7.686 7.218
F -4.474 -1.618 9.733
F 1.323 -0.157 12.633
F -1.638 -1.384 8.923
F 0.642 -0.381 9.595
F 0.248 -2.847 11.469
F 3.141 3.352 7.945
F -4.066 5.105 12.308
F 5.335 1.835 6.663
F 2.537 9.077 8.857
F -3.965 2.755 8.325
F -2.212 -0.741 2.632
F -1.806 4.067 8.793
F -2.032 0.644 4.789
F -3.347 6.630 4.591
F -5.558 0.638 9.895
F -7.930 2.613 9.877
F 2.211 7.157 6.462
F -0.157 3.080 4.239
Rb 2.988 3.088 11.606
Rb 2.789 0.261 7.584
Rb -3.050 0.056 11.994
Rb -3.806 -0.006 7.133
Rb -1.130 4.057 14.119
Rb -0.622 5.631 5.768
Rb -2.639 6.557 10.159
Rb -0.068 0.243 0.844
Be 1.591 3.582 8.067
Be 4.837 6.081 10.074
Be -1.035 -3.197 12.270
Be 1.495 -0.815 4.185
Be -0.736 -0.097 8.938
Be -2.833 3.616 7.703
Be 0.505 3.443 2.883
Be -2.844 0.406 3.487
Be 0.594 6.083 11.748
Be 0.467 1.009 13.196
Be -4.026 3.555 12.105
Be -6.322 6.168 9.156
```

- VASP energy (eV for the cell shown) = -433.39
- SG = P2_13

[3]
Mn2Be3Tl2F12: relaxed, GGA+U.

extended XYZ file:
```
76
Lattice="10.413 0.000 0.000 0.000 10.413 0.000 0.000 0.000 10.413" Properties=species:S:1:pos:R:3 pbc="T T T"
F 7.860 1.014 8.746
F 5.967 1.783 10.296
F 0.020 5.840 7.978
F 1.783 10.296 5.967
F 4.193 1.668 2.653
F 9.954 3.177 2.835
F 8.746 7.860 1.014
F 9.653 8.630 5.089
F 2.030 7.578 4.747
F 10.296 5.967 1.783
F 6.221 6.874 2.554
F 6.990 5.324 4.447
F 2.653 4.193 1.668
F 0.760 3.423 0.118
F 10.394 0.633 7.642
F 2.371 0.460 8.384
F 3.177 2.835 9.954
F 7.760 9.399 3.539
F 5.840 7.978 0.020
F 7.642 10.394 0.633
F 4.747 2.030 7.578
F 5.187 4.574 2.771
F 5.667 7.236 8.042
F 2.435 5.226 9.780
F 4.447 6.990 5.324
F 1.668 2.653 4.193
F 5.226 9.780 2.435
F 7.578 4.747 2.030
F 2.771 5.187 4.574
F 5.324 4.447 6.990
F 0.460 8.384 2.371
F 4.574 2.771 5.187
F 1.014 8.746 7.860
F 7.978 0.020 5.840
F 2.554 6.221 6.874
F 0.633 7.642 10.394
F 6.874 2.554 6.221
F 3.423 0.118 0.760
F 5.089 9.653 8.630
F 9.780 2.435 5.226
F 3.539 7.760 9.399
F 8.042 5.667 7.236
F 7.236 8.042 5.667
F 0.118 0.760 3.423
F 2.835 9.954 3.177
F 8.384 2.371 0.460
F 8.630 5.089 9.653
F 9.399 3.539 7.760
Mn 1.721 6.928 8.692
Mn 1.023 9.391 4.184
Mn 4.184 1.023 9.391
Mn 3.486 3.486 3.486
Mn 6.229 6.229 6.229
Mn 8.692 1.721 6.928
Mn 6.928 8.692 1.721
Mn 9.391 4.184 1.023
Be 10.217 7.451 1.293
Be 0.196 2.244 3.913
Be 1.293 10.217 7.451
Be 5.403 2.963 6.500
Be 3.913 0.196 2.244
Be 7.451 1.293 10.217
Be 9.120 5.010 8.169
Be 6.500 5.403 2.963
Be 5.010 8.169 9.120
Be 8.169 9.120 5.010
Be 2.963 6.500 5.403
Be 2.244 3.913 0.196
Tl 9.903 5.717 4.696
Tl 3.298 7.115 1.909
Tl 5.717 4.696 9.903
Tl 0.510 0.510 0.510
Tl 1.909 3.298 7.115
Tl 4.696 9.903 5.717
Tl 8.505 8.505 8.505
Tl 7.115 1.909 3.298
```

- VASP energy (eV for the cell shown) = -427.07
- SG = P2_13

[4]
Be2NiN2F14: relaxed, GGA+U.

extended XYZ file:
```
38
Lattice="4.769 1.873 4.066 2.361 -7.942 -2.370 5.727 4.297 -8.696" Properties=species:S:1:pos:R:3 pbc="T T T"
Be 8.078 3.924 -2.026
Be 2.297 -2.701 -1.812
Be 4.779 -5.695 -4.973
Be 10.560 0.929 -5.187
F 2.542 -3.984 -1.340
F 3.820 0.331 1.207
F 7.138 1.487 -1.294
F 5.090 -2.794 -0.124
F 5.719 -3.258 -5.705
F 7.767 1.022 -6.875
F 8.982 5.254 -5.134
F 3.404 1.519 -3.257
F 8.041 -0.309 -3.097
F 10.315 2.213 -5.659
F 5.128 2.091 -0.789
F 9.037 -2.103 -8.206
F 7.569 3.103 -6.119
F 3.888 -4.978 -4.186
F 7.729 -3.863 -6.210
F 9.453 -3.291 -3.742
F 5.288 -4.875 -0.880
F 6.958 2.528 -8.194
F 4.816 -1.463 -3.902
F 10.651 -0.388 -4.759
F 5.438 0.094 -1.715
F 5.899 -4.300 1.195
F 6.149 0.586 -4.428
F 6.708 -2.358 -2.571
F 2.206 -1.384 -2.240
F 8.969 3.207 -2.813
F 7.420 -1.866 -5.284
F 3.875 -7.026 -1.865
N 6.839 2.054 -6.898
N 5.994 1.014 -0.673
N 6.863 -2.785 -6.326
N 6.018 -3.825 -0.101
Ni 6.429 -0.886 -3.500
Ni 2.385 0.937 2.033
```

- VASP energy (eV for the cell shown) = -155.11
- SG = P2_1/c

[5]
Rb2BeNi2F14: relaxed, GGA+U.

extended XYZ file:
```
38
Lattice="1.046 1.078 -5.945 -8.644 2.759 -0.281 3.723 11.953 2.823" Properties=species:S:1:pos:R:3 pbc="T T T"
F -1.428 11.931 -3.665
F 0.665 7.985 -3.532
F -4.167 13.781 0.366
F -5.823 6.732 -2.447
F -1.052 8.524 -0.409
F 2.739 10.056 -3.642
F 0.283 1.381 -1.477
F 0.292 2.009 -3.769
F -1.826 1.261 -0.950
F -2.782 6.793 -0.665
F -2.910 9.269 -1.640
F -6.562 3.807 -2.870
F -1.891 11.991 -0.730
F -2.447 3.859 0.262
F -2.049 14.529 -2.453
F -4.540 7.805 0.129
F 1.948 9.058 -0.956
F 1.428 5.686 -0.258
F -1.092 8.997 -2.738
F -0.965 6.521 -1.763
F -4.313 2.511 -1.475
F 0.438 13.279 -1.928
F -6.614 5.735 0.239
F -2.823 7.267 -2.994
F -4.158 14.409 -1.926
F 2.687 11.983 -0.533
F -5.303 10.104 -3.145
F -1.984 3.799 -2.673
Ni 2.139 8.658 -2.690
Ni -1.294 12.892 -2.156
Ni -2.581 2.898 -1.247
Ni -6.014 7.132 -0.713
Rb -4.151 4.856 -4.338
Rb -4.536 10.741 0.423
Rb 0.661 5.049 -3.826
Rb 0.276 10.934 0.935
Be -1.937 7.895 -1.702
Be 0.523 0.539 -2.973
```

- VASP energy (eV for the cell shown) = -136.56
- SG = P2_1/c

[6]
Be3Tl2Ni2F12: relaxed, GGA+U.

extended XYZ file:
```
76
Lattice="-2.965 -3.044 -9.175 -5.439 -7.408 4.216 -7.991 6.172 0.535" Properties=species:S:1:pos:R:3 pbc="T T T"
Be -6.973 -3.986 -3.380
Be -10.928 -5.923 -3.270
Be -4.223 0.677 0.912
Be -10.619 2.953 -5.496
Be -12.699 -1.883 -0.615
Be -7.777 -7.499 -5.914
Be -8.405 -2.286 0.279
Be -8.092 0.144 -3.233
Be -2.839 -3.306 -0.362
Be -11.492 -1.363 -5.592
Be -2.930 0.021 -3.247
Be -11.396 -3.233 3.371
F -10.606 -4.444 -2.835
F -4.128 -0.883 -2.858
F -13.149 -3.287 -0.092
F -9.298 -1.065 0.622
F -7.356 -7.526 -4.422
F -5.975 -3.091 -2.570
F -6.804 1.116 -6.718
F -10.452 -0.622 -6.472
F -2.086 -2.560 0.787
F -12.572 -0.370 -5.051
F -10.799 -2.102 -4.386
F -8.242 1.688 -2.956
F -3.025 1.502 0.339
F -7.374 -6.144 -6.582
F -6.972 -1.796 -0.126
F -9.243 -0.633 -2.515
F -7.355 -5.235 -2.544
F -4.011 -3.878 -6.396
F -9.434 2.130 -6.064
F -12.136 0.521 3.035
F -6.644 -3.507 -7.320
F -12.258 -0.971 0.559
F -6.708 -0.244 -2.609
F -10.912 1.332 0.487
F -9.160 1.018 -8.475
F -5.877 -7.374 -1.940
F -7.373 3.930 -1.491
F -8.431 -6.001 1.714
F -4.268 -2.733 -0.549
F -10.500 3.104 -3.944
F -8.085 -0.158 -4.753
F -9.209 0.542 2.751
F -5.092 0.095 -0.233
F -11.543 -2.057 -1.671
F -9.996 2.962 -1.159
F -8.447 -7.030 -0.555
F -9.790 -6.892 -2.857
F -11.173 -5.976 -4.814
F -8.102 -9.214 -2.493
F -8.179 -3.202 1.540
F -8.071 -1.464 -7.335
F -6.362 -4.685 3.098
F -10.856 -1.821 3.026
F -8.245 -3.162 -3.764
F -10.402 -4.342 2.896
F -6.188 -4.389 -4.686
F -1.572 -0.687 -2.930
F -9.033 -3.129 -0.878
Ni -5.505 -1.437 -1.486
Ni -8.386 -4.504 3.087
Ni -8.679 0.339 -6.621
Ni -8.921 3.593 -2.764
Ni -5.643 -5.081 -6.516
Ni -9.841 -2.570 -2.656
Ni -10.779 -0.263 1.740
Ni -7.828 -7.200 -2.483
Tl -0.800 -0.209 -0.216
Tl -5.554 -1.484 -5.327
Tl -11.683 0.857 -2.624
Tl -13.390 -3.496 -3.613
Tl -7.727 1.313 0.019
Tl -10.897 -5.034 0.164
Tl -9.411 -4.176 -6.173
Tl -6.120 -4.895 0.073
```

- VASP energy (eV for the cell shown) = -376.76
- SG = P2_13

| no. | theoretical density (Mg/m³) |
| --- | --- |
| 1 | 2.6 |
| 2 | 3.1 |
| 3 | 4.6 |
| 4 | 2.0 |
| 5 | 2.6 |
| 6 | 5.0 |